KBaNa2Ti3FeSi4O18 (GGA+U, relaxed); space group = P1; M_tot = 5.00 μB/f.u.; DFT total energy = -7.552 eV per atom; formation energy from the elements = -92.60 eV per formula unit
1.0
5.390 0.000 0.000
0.001 7.135 0.000
1.171 3.549 10.247
K Ba Na Ti Fe Si O
1 1 2 3 1 4 18
Cartesian
0.000 0.000 0.000 K
2.721 3.566 1.234 Ba
1.943 8.960 5.782 Na
4.635 7.121 5.790 Na
1.194 7.066 8.675 Ti
2.699 7.083 2.865 Ti
4.631 3.544 5.790 Ti
1.946 5.149 5.771 Fe
3.828 5.102 8.620 Si
3.906 9.159 8.595 Si
5.374 2.019 2.975 Si
5.445 5.136 2.945 Si
0.833 3.872 6.705 O
1.256 6.856 6.947 O
1.365 1.350 2.430 O
1.383 5.784 2.236 O
2.523 5.799 9.336 O
2.547 8.436 9.137 O
2.647 6.883 4.590 O
3.056 3.883 4.805 O
3.870 3.559 9.224 O
3.684 5.101 6.981 O
3.950 9.247 6.955 O
4.027 1.344 2.353 O
4.079 5.792 2.354 O
5.178 5.809 9.205 O
5.233 8.433 9.213 O
5.326 2.111 4.606 O
5.587 5.133 4.576 O
5.410 3.572 2.329 O